This record from the Materials Project describes crystalline LiCrPH2O5 at its relaxed geometry. The functional is PBE+U.

abc: 17.288 5.032 10.405
angles: 90.00 90.00 90.00
Element x y z (fractional)
Li: 0.005 0.035 0.000
Li: 0.246 0.589 0.724
Li: 0.254 0.589 0.224
Li: 0.495 0.035 0.500
Li: 0.505 0.965 0.000
Li: 0.746 0.411 0.724
Li: 0.754 0.411 0.224
Li: 0.995 0.965 0.500
Cr: 0.059 0.623 0.250
Cr: 0.191 0.940 0.472
Cr: 0.309 0.940 0.972
Cr: 0.441 0.623 0.750
Cr: 0.559 0.377 0.250
Cr: 0.691 0.060 0.472
Cr: 0.809 0.060 0.972
Cr: 0.941 0.377 0.750
P: 0.091 0.470 0.558
P: 0.159 0.094 0.165
P: 0.341 0.094 0.665
P: 0.409 0.470 0.058
P: 0.591 0.530 0.558
P: 0.659 0.906 0.165
P: 0.841 0.906 0.665
P: 0.909 0.530 0.058
H: 0.055 0.866 0.775
H: 0.119 0.867 0.879
H: 0.129 0.415 0.827
H: 0.190 0.363 0.935
H: 0.310 0.363 0.435
H: 0.371 0.415 0.327
H: 0.381 0.867 0.379
H: 0.445 0.866 0.275
H: 0.555 0.134 0.775
H: 0.619 0.133 0.879
H: 0.629 0.585 0.827
H: 0.690 0.637 0.935
H: 0.810 0.637 0.435
H: 0.871 0.585 0.327
H: 0.881 0.133 0.379
H: 0.945 0.134 0.275
O: 0.048 0.506 0.688
O: 0.048 0.627 0.450
O: 0.073 0.968 0.850
O: 0.076 0.975 0.149
O: 0.093 0.173 0.520
O: 0.156 0.389 0.205
O: 0.174 0.592 0.575
O: 0.176 0.490 0.866
O: 0.203 0.067 0.036
O: 0.203 0.933 0.272
O: 0.297 0.067 0.536
O: 0.297 0.933 0.772
O: 0.324 0.490 0.366
O: 0.326 0.592 0.075
O: 0.344 0.389 0.705
O: 0.407 0.173 0.020
O: 0.424 0.975 0.649
O: 0.427 0.968 0.350
O: 0.452 0.506 0.188
O: 0.452 0.627 0.950
O: 0.548 0.373 0.450
O: 0.548 0.494 0.688
O: 0.573 0.032 0.850
O: 0.576 0.025 0.149
O: 0.593 0.827 0.520
O: 0.656 0.611 0.205
O: 0.674 0.408 0.575
O: 0.676 0.510 0.866
O: 0.703 0.067 0.272
O: 0.703 0.933 0.036
O: 0.797 0.067 0.772
O: 0.797 0.933 0.536
O: 0.824 0.510 0.366
O: 0.826 0.408 0.075
O: 0.844 0.611 0.705
O: 0.907 0.827 0.020
O: 0.924 0.025 0.649
O: 0.927 0.032 0.350
O: 0.952 0.373 0.950
O: 0.952 0.494 0.188

Values from the calculation:
E_form: -2.12 eV/atom
Total magnetization: 32.0 Bohr magnetons per cell
ΔE to the lowest computed polymorph: 1.0 kJ per mole of atoms